1.
Material: KCdB3O6
Method: DFT, PBE-GGA
State: optimized geometry Values from VASP.

Cell and atoms, written as Quantum ESPRESSO input:
```
&SYSTEM
  ibrav = 0, nat = 44, ntyp = 4
/
ATOMIC_SPECIES
K 39.10 K.upf
Cd 112.41 Cd.upf
B 10.81 B.upf
O 16.00 O.upf
CELL_PARAMETERS angstrom
3.650 -6.709 0.000
3.650 6.709 0.000
-3.648 0.000 12.360
ATOMIC_POSITIONS crystal
K 0.167 0.683 0.869
K 0.317 0.833 0.631
K 0.683 0.167 0.369
K 0.833 0.317 0.131
Cd 0.376 0.523 0.378
Cd 0.477 0.624 0.122
Cd 0.523 0.376 0.878
Cd 0.624 0.477 0.622
B 0.072 0.685 0.374
B 0.076 0.232 0.912
B 0.160 0.185 0.657
B 0.185 0.160 0.157
B 0.232 0.076 0.412
B 0.315 0.928 0.126
B 0.685 0.072 0.874
B 0.768 0.924 0.588
B 0.815 0.840 0.843
B 0.840 0.815 0.343
B 0.924 0.768 0.088
B 0.928 0.315 0.626
O 0.025 0.028 0.379
O 0.028 0.025 0.879
O 0.087 0.520 0.374
O 0.098 0.748 0.088
O 0.130 0.352 0.664
O 0.224 0.356 0.185
O 0.252 0.902 0.412
O 0.279 0.409 0.939
O 0.352 0.130 0.164
O 0.356 0.224 0.685
O 0.409 0.279 0.439
O 0.480 0.913 0.126
O 0.520 0.087 0.874
O 0.591 0.721 0.561
O 0.644 0.776 0.315
O 0.648 0.870 0.836
O 0.721 0.591 0.061
O 0.748 0.098 0.588
O 0.776 0.644 0.815
O 0.870 0.648 0.336
O 0.902 0.252 0.912
O 0.913 0.480 0.626
O 0.972 0.975 0.121
O 0.975 0.972 0.621
```

Computed properties:
V ... 605 Å³ per cell
ΔE_f ... -2.5587 eV per atom

2.
Material: K3CdB5O10
Method: DFT, PBE-GGA
State: optimized geometry Values from VASP.

Cell and atoms, written as Quantum ESPRESSO input:
```
&SYSTEM
  ibrav = 0, nat = 76, ntyp = 4
/
ATOMIC_SPECIES
K 39.10 K.upf
Cd 112.41 Cd.upf
B 10.81 B.upf
O 16.00 O.upf
CELL_PARAMETERS angstrom
7.797 0.000 0.000
0.000 19.474 0.000
-4.335 0.000 7.225
ATOMIC_POSITIONS crystal
K 0.135 0.078 0.142
K 0.135 0.422 0.642
K 0.156 0.066 0.701
K 0.156 0.434 0.201
K 0.274 0.747 0.055
K 0.274 0.753 0.555
K 0.726 0.247 0.445
K 0.726 0.253 0.945
K 0.844 0.566 0.799
K 0.844 0.934 0.299
K 0.865 0.578 0.358
K 0.865 0.922 0.858
Cd 0.372 0.597 0.348
Cd 0.372 0.903 0.848
Cd 0.628 0.097 0.152
Cd 0.628 0.403 0.652
B 0.063 0.190 0.366
B 0.063 0.310 0.866
B 0.310 0.217 0.001
B 0.310 0.283 0.501
B 0.338 0.574 0.975
B 0.338 0.926 0.475
B 0.351 0.570 0.688
B 0.351 0.930 0.188
B 0.432 0.158 0.564
B 0.432 0.342 0.064
B 0.568 0.658 0.936
B 0.568 0.842 0.436
B 0.649 0.070 0.812
B 0.649 0.430 0.312
B 0.662 0.074 0.525
B 0.662 0.426 0.025
B 0.690 0.717 0.499
B 0.690 0.783 0.999
B 0.937 0.690 0.134
B 0.937 0.810 0.634
O 0.109 0.240 0.900
O 0.109 0.260 0.400
O 0.126 0.672 0.257
O 0.126 0.828 0.757
O 0.215 0.142 0.459
O 0.215 0.358 0.959
O 0.263 0.548 0.076
O 0.263 0.952 0.576
O 0.268 0.548 0.795
O 0.268 0.952 0.295
O 0.297 0.536 0.528
O 0.297 0.964 0.028
O 0.339 0.148 0.015
O 0.339 0.352 0.515
O 0.461 0.234 0.578
O 0.461 0.266 0.078
O 0.474 0.628 0.036
O 0.474 0.872 0.536
O 0.476 0.627 0.748
O 0.476 0.873 0.248
O 0.524 0.127 0.752
O 0.524 0.373 0.252
O 0.526 0.128 0.464
O 0.526 0.372 0.964
O 0.539 0.734 0.922
O 0.539 0.766 0.422
O 0.661 0.648 0.485
O 0.661 0.852 0.985
O 0.703 0.036 0.972
O 0.703 0.464 0.472
O 0.732 0.048 0.705
O 0.732 0.452 0.205
O 0.737 0.048 0.424
O 0.737 0.452 0.924
O 0.785 0.642 0.041
O 0.785 0.858 0.541
O 0.874 0.172 0.243
O 0.874 0.328 0.743
O 0.891 0.740 0.600
O 0.891 0.760 0.100
```

Computed properties:
V ... 1097 Å³ per cell
ΔE_f ... -2.6116 eV per atom

3.
Material: LaCdB5O10
Method: DFT, PBE-GGA
State: optimized geometry Values from VASP.

Cell and atoms, written as Quantum ESPRESSO input:
```
&SYSTEM
  ibrav = 0, nat = 68, ntyp = 4
/
ATOMIC_SPECIES
La 138.91 La.upf
Cd 112.41 Cd.upf
B 10.81 B.upf
O 16.00 O.upf
CELL_PARAMETERS angstrom
8.883 0.000 0.000
0.000 7.988 0.000
-8.711 0.000 9.706
ATOMIC_POSITIONS crystal
La 0.042 0.177 0.235
La 0.042 0.323 0.735
La 0.958 0.677 0.265
La 0.958 0.823 0.765
Cd 0.485 0.591 0.876
Cd 0.485 0.909 0.376
Cd 0.515 0.091 0.624
Cd 0.515 0.409 0.124
B 0.084 0.673 0.600
B 0.084 0.827 0.100
B 0.146 0.605 0.997
B 0.146 0.895 0.497
B 0.275 0.030 0.058
B 0.275 0.470 0.558
B 0.339 0.578 0.255
B 0.339 0.922 0.755
B 0.475 0.174 0.907
B 0.475 0.326 0.407
B 0.525 0.674 0.593
B 0.525 0.826 0.093
B 0.661 0.078 0.245
B 0.661 0.422 0.745
B 0.725 0.530 0.442
B 0.725 0.970 0.942
B 0.854 0.105 0.503
B 0.854 0.395 0.003
B 0.916 0.173 0.900
B 0.916 0.327 0.400
O 0.024 0.732 0.980
O 0.024 0.768 0.480
O 0.095 0.109 0.924
O 0.095 0.391 0.424
O 0.123 0.556 0.888
O 0.123 0.944 0.388
O 0.196 0.713 0.225
O 0.196 0.787 0.725
O 0.223 0.532 0.639
O 0.223 0.968 0.139
O 0.292 0.535 0.125
O 0.292 0.965 0.625
O 0.312 0.075 0.804
O 0.312 0.425 0.304
O 0.329 0.620 0.514
O 0.329 0.880 0.014
O 0.421 0.171 0.422
O 0.421 0.329 0.922
O 0.452 0.140 0.143
O 0.452 0.360 0.643
O 0.548 0.640 0.357
O 0.548 0.860 0.857
O 0.579 0.671 0.078
O 0.579 0.829 0.578
O 0.671 0.120 0.986
O 0.671 0.380 0.486
O 0.688 0.575 0.696
O 0.688 0.925 0.196
O 0.708 0.035 0.375
O 0.708 0.465 0.875
O 0.777 0.032 0.861
O 0.777 0.468 0.361
O 0.804 0.213 0.275
O 0.804 0.287 0.775
O 0.877 0.056 0.612
O 0.877 0.444 0.112
O 0.905 0.609 0.576
O 0.905 0.891 0.076
O 0.976 0.232 0.520
O 0.976 0.268 0.020
```

Computed properties:
V ... 689 Å³ per cell
ΔE_f ... -2.9108 eV per atom

4.
Material: LiCdBO3
Method: DFT, PBE-GGA
State: optimized geometry Values from VASP.

Cell and atoms, written as Quantum ESPRESSO input:
```
&SYSTEM
  ibrav = 0, nat = 12, ntyp = 4
/
ATOMIC_SPECIES
Li 6.94 Li.upf
Cd 112.41 Cd.upf
B 10.81 B.upf
O 16.00 O.upf
CELL_PARAMETERS angstrom
5.274 0.000 0.000
-2.569 4.644 0.000
-2.323 -1.296 5.666
ATOMIC_POSITIONS crystal
Li 0.068 0.136 0.336
Li 0.932 0.864 0.664
Cd 0.342 0.757 0.230
Cd 0.658 0.243 0.770
B 0.302 0.568 0.732
B 0.698 0.432 0.268
O 0.128 0.640 0.816
O 0.228 0.279 0.694
O 0.459 0.213 0.320
O 0.541 0.787 0.680
O 0.772 0.721 0.306
O 0.872 0.360 0.184
```

Computed properties:
V ... 139 Å³ per cell
ΔE_f ... -2.3099 eV per atom

5.
Material: LiCdBO3
Method: DFT, PBE-GGA
State: optimized geometry Values from VASP.

Cell and atoms, written as Quantum ESPRESSO input:
```
&SYSTEM
  ibrav = 0, nat = 18, ntyp = 4
/
ATOMIC_SPECIES
Li 6.94 Li.upf
Cd 112.41 Cd.upf
B 10.81 B.upf
O 16.00 O.upf
CELL_PARAMETERS angstrom
8.434 0.000 0.000
-4.217 7.304 0.000
0.000 0.000 3.316
ATOMIC_POSITIONS crystal
Li 0.050 0.376 0.000
Li 0.325 0.950 0.000
Li 0.624 0.675 0.000
Cd 0.338 0.302 0.500
Cd 0.698 0.036 0.500
Cd 0.964 0.662 0.500
B 0.000 0.000 0.000
B 0.333 0.667 0.500
B 0.667 0.333 0.000
O 0.190 0.085 0.000
O 0.209 0.479 0.500
O 0.270 0.791 0.500
O 0.521 0.730 0.500
O 0.560 0.417 0.000
O 0.583 0.143 0.000
O 0.857 0.440 0.000
O 0.895 0.810 0.000
O 0.915 0.105 0.000
```

Computed properties:
Piezoelectric modulus e_max ... 1.19 C/m²
V ... 204 Å³ per cell
ΔE_f ... -2.3102 eV per atom

6.
Material: Mg6CdB
Method: DFT, PBE-GGA
State: optimized geometry Values from VASP.

Cell and atoms, written as Quantum ESPRESSO input:
```
&SYSTEM
  ibrav = 0, nat = 8, ntyp = 3
/
ATOMIC_SPECIES
Mg 24.30 Mg.upf
Cd 112.41 Cd.upf
B 10.81 B.upf
CELL_PARAMETERS angstrom
4.909 0.000 0.000
0.000 3.112 5.213
0.000 -3.112 5.213
ATOMIC_POSITIONS crystal
Mg 0.000 0.000 0.000
Mg 0.000 0.012 0.496
Mg 0.000 0.495 0.495
Mg 0.000 0.496 0.012
Mg 0.500 0.333 0.833
Mg 0.500 0.833 0.333
Cd 0.500 0.833 0.833
B 0.500 0.335 0.335
```

Computed properties:
V ... 159 Å³ per cell
ΔE_f ... 0.3380 eV per atom

What is the V in the fourth record?
139 Å³ per cell

Which of these has the highest ΔE_f?
Mg6CdB

The lowest ΔE_f belongs to which entry?
LaCdB5O10

What is the formula in the first record?
KCdB3O6